Record 1
# Bi2AuO5 (meta-GGA r2SCAN, optimized geometry)
data_Bi2AuO5
_chemical_formula_sum 'Bi8 Au4 O20'
_symmetry_space_group_name_H-M 'P 4/n c c'
_symmetry_Int_Tables_number 130
_cell_length_a 8.652
_cell_length_b 8.652
_cell_length_c 5.765
_cell_angle_alpha 90.00
_cell_angle_beta 90.00
_cell_angle_gamma 90.00
loop_
_symmetry_equiv_pos_as_xyz
'x,y,z'
'-x,-y,-z'
'-y+1/2,x,z'
'y+1/2,-x,-z'
'-x+1/2,-y+1/2,z'
'x+1/2,y+1/2,-z'
'y,-x+1/2,z'
'-y,x+1/2,-z'
'x+1/2,-y,-z+1/2'
'-x+1/2,y,z+1/2'
'-y,-x,-z+1/2'
'y,x,z+1/2'
'-x,y+1/2,-z+1/2'
'x,-y+1/2,z+1/2'
'y+1/2,x+1/2,-z+1/2'
'-y+1/2,-x+1/2,z+1/2'
loop_
_atom_site_label
_atom_site_type_symbol
_atom_site_fract_x
_atom_site_fract_y
_atom_site_fract_z
Bi1 Bi 0.102 0.602 0.250
Au1 Au 0.250 0.250 0.101
O1 O 0.035 0.170 0.615
O2 O 0.250 0.750 0.000
# Electronic total energy in eV per formula unit: -204.8
# Formation energy in eV/atom: -0.915

Record 2
# La3Ga2Ni4 (meta-GGA r2SCAN, optimized geometry)
data_La3Ga2Ni4
_chemical_formula_sum 'La6 Ga4 Ni8'
_symmetry_space_group_name_H-M 'C 1 2/m 1'
_symmetry_Int_Tables_number 12
_cell_length_a 10.241
_cell_length_b 4.212
_cell_length_c 8.242
_cell_angle_alpha 90.00
_cell_angle_beta 98.93
_cell_angle_gamma 90.00
loop_
_symmetry_equiv_pos_as_xyz
'x,y,z'
'-x,-y,-z'
'-x,y,-z'
'x,-y,z'
'x+1/2,y+1/2,z'
'-x+1/2,-y+1/2,-z'
'-x+1/2,y+1/2,-z'
'x+1/2,-y+1/2,z'
loop_
_atom_site_label
_atom_site_type_symbol
_atom_site_fract_x
_atom_site_fract_y
_atom_site_fract_z
La1 La 0.000 0.000 0.000
La2 La 0.123 0.500 0.380
Ga1 Ga 0.178 0.500 0.789
Ni1 Ni 0.085 0.000 0.640
Ni2 Ni 0.243 0.500 0.087
# Electronic total energy in eV per formula unit: -164.5
# Formation energy in eV/atom: -0.491